4
Lattice="-0.024 3.238 -7.184 -4.388 2.357 -6.106 -2.323 6.087 -4.432" Properties=species:S:1:pos:R:3 comment="MnCdTe2 | the Materials Project | r2SCAN | optimized geometry" total_energy_ev_per_atom=-22.000 pbc="T T T"
Mn -3.360 5.828 -8.841
Cd -0.005 0.009 -0.014
Te -0.864 1.499 -2.274
Te -4.189 7.266 -11.023